Below is crystalline Fe4O7F at its relaxed geometry, with properties calculated at the PBE with a Hubbard U level.

Cell: 4.646 7.547 7.592 Å, 104.25 91.58 90.91°
Positions (direct):
Fe (0.000, 0.000, 0.000)
Fe (0.000, 0.500, 0.500)
Fe (0.018, 0.245, 0.736)
Fe (0.476, 0.387, 0.135)
Fe (0.497, 0.877, 0.629)
Fe (0.503, 0.123, 0.371)
Fe (0.524, 0.613, 0.865)
Fe (0.982, 0.755, 0.264)
O (0.180, 0.533, 0.288)
O (0.188, 0.030, 0.781)
O (0.197, 0.284, 0.518)
O (0.307, 0.153, 0.149)
O (0.307, 0.905, 0.404)
O (0.309, 0.403, 0.903)
O (0.309, 0.655, 0.659)
O (0.691, 0.345, 0.341)
O (0.691, 0.597, 0.097)
O (0.693, 0.095, 0.596)
O (0.693, 0.847, 0.851)
O (0.803, 0.716, 0.482)
O (0.812, 0.970, 0.219)
O (0.820, 0.467, 0.712)
F (0.200, 0.771, 0.029)
F (0.800, 0.229, 0.971)

Properties
Electronic total energy ... -0.226 Ha/atom
Formation enthalpy at 0 K ... -1462 meV/atom